# PBE-GGA Sr2LiO12, optimized geometry
data_Sr2LiO12
_cell_length_a 4.9868
_cell_length_b 6.0347
_cell_length_c 8.0816
_cell_angle_alpha 78.38
_cell_angle_beta 72.09
_cell_angle_gamma 69.58
_symmetry_space_group_name_H-M 'P -1'
_symmetry_Int_Tables_number 2
_symmetry_space_group_name_Hall '-P 1'
loop_
_atom_site_label
_atom_site_fract_x
_atom_site_fract_y
_atom_site_fract_z
Sr1 0.1433 0.3409 0.2474
Li1 0.0000 0.0000 0.0000
O1 0.0063 0.7343 0.3960
O2 0.0216 0.0653 0.7059
O3 0.1644 0.6371 0.9618
O4 0.3701 0.5540 0.8133
O5 0.4429 0.9738 0.9448
O6 0.4965 0.9069 0.5518
# Size of the total moment in μB/atom: 0.200
# Energy above the most stable polymorph in this dataset in kJ/mol of formula units: 31
# ΔE_f in eV/atom: -1.008